The following is a PBE+U calculation of a geometry-optimized Li2V3FeO8 structure, from the Materials Project database.

Cell and atoms, written as POSCAR:
```
Li2V3FeO8
1.0
-2.196 1.272 -8.028
-3.651 -7.584 -0.203
-7.356 3.473 2.563
Li V Fe O
8 12 4 32
direct
0.496 0.747 0.873
0.253 0.504 0.627
0.753 0.996 0.623
0.996 0.753 0.377
0.504 0.253 0.373
0.747 0.496 0.127
0.247 0.004 0.123
0.004 0.247 0.877
0.874 0.621 0.751
0.631 0.369 0.750
0.379 0.126 0.749
0.879 0.374 0.501
0.131 0.131 0.500
0.374 0.879 0.499
0.126 0.379 0.251
0.369 0.631 0.250
0.621 0.874 0.249
0.121 0.626 0.001
0.869 0.869 0.000
0.626 0.121 0.999
0.125 0.875 0.750
0.625 0.625 0.500
0.875 0.125 0.250
0.375 0.375 0.000
0.106 0.630 0.764
0.889 0.859 0.762
0.618 0.124 0.767
0.650 0.618 0.739
0.382 0.350 0.761
0.876 0.382 0.733
0.141 0.111 0.738
0.370 0.894 0.736
0.870 0.606 0.514
0.641 0.389 0.512
0.376 0.118 0.517
0.882 0.150 0.489
0.150 0.882 0.511
0.118 0.376 0.483
0.389 0.641 0.488
0.606 0.870 0.486
0.894 0.370 0.264
0.111 0.141 0.262
0.382 0.876 0.267
0.350 0.382 0.239
0.618 0.650 0.261
0.124 0.618 0.233
0.859 0.889 0.238
0.630 0.106 0.236
0.130 0.394 0.014
0.359 0.611 0.012
0.624 0.882 0.017
0.118 0.850 0.989
0.850 0.118 0.011
0.882 0.624 0.983
0.611 0.359 0.988
0.394 0.130 0.986
```

VASP energy   -396.35 eV per cell
Excess energy over the best structure of this formula in the dataset   2 meV per atom
SG   P4_32_12
Calculated formation energy   -2.34 eV per atom

The following is a PBE+U calculation of a geometry-optimized Li3V4FeO8 structure, from the Materials Project database.

Cell and atoms, written as POSCAR:
```
Li3V4FeO8
1.0
3.017 5.225 0.000
-3.017 5.225 0.000
0.000 3.513 4.969
Li V Fe O
3 4 1 8
direct
0.000 0.500 0.000
0.500 0.000 0.000
0.000 0.000 0.500
0.500 0.500 0.500
0.000 0.000 0.000
0.500 0.000 0.500
0.000 0.500 0.500
0.500 0.500 0.000
0.745 0.745 0.735
0.245 0.740 0.268
0.740 0.245 0.268
0.255 0.255 0.265
0.258 0.258 0.730
0.755 0.260 0.732
0.260 0.755 0.732
0.742 0.742 0.270
```

VASP energy   -111.75 eV per cell
SG   C2/m
Calculated formation energy   -2.26 eV per atom

The following is a PBE+U calculation of a geometry-optimized Li2V3FeO8 structure, from the Materials Project database.

Cell and atoms, written as POSCAR:
```
Li2V3FeO8
1.0
5.067 -2.969 0.000
5.067 2.969 0.000
3.327 0.000 4.839
Li V Fe O
2 3 1 8
direct
0.875 0.875 0.875
0.125 0.125 0.125
0.000 0.500 0.500
0.500 0.000 0.500
0.500 0.500 0.000
0.500 0.500 0.500
0.739 0.739 0.739
0.740 0.740 0.288
0.740 0.288 0.740
0.288 0.740 0.740
0.712 0.260 0.260
0.260 0.712 0.260
0.260 0.260 0.712
0.261 0.261 0.261
```

VASP energy   -98.54 eV per cell
Excess energy over the best structure of this formula in the dataset   41 meV per atom
SG   R-3m
Calculated formation energy   -2.31 eV per atom

The following is a PBE+U calculation of a geometry-optimized Li3V2FeO6 structure, from the Materials Project database.

Cell and atoms, written as POSCAR:
```
Li3V2FeO6
1.0
0.000 -1.551 2.537
6.083 -2.878 -0.017
6.978 8.282 5.067
Li V Fe O
6 4 2 12
direct
0.333 0.333 0.083
0.333 0.333 0.583
0.998 0.004 0.249
0.998 0.004 0.749
0.669 0.662 0.417
0.669 0.662 0.917
0.000 0.000 0.500
0.667 0.666 0.167
0.000 0.000 0.000
0.667 0.666 0.667
0.333 0.333 0.833
0.333 0.333 0.333
0.496 0.009 0.882
0.496 0.009 0.382
0.171 0.658 0.285
0.171 0.658 0.785
0.163 0.673 0.048
0.163 0.673 0.548
0.503 0.993 0.619
0.503 0.993 0.119
0.830 0.341 0.214
0.829 0.341 0.714
0.837 0.326 0.452
0.837 0.326 0.952
```

VASP energy   -160.08 eV per cell
Calculated formation energy   -2.31 eV per atom

The following is a PBE+U calculation of a geometry-optimized Li2V3FeO8 structure, from the Materials Project database.

Cell and atoms, written as POSCAR:
```
Li2V3FeO8
1.0
1.714 -5.387 2.890
5.031 -3.539 1.574
1.502 1.633 6.081
Li V Fe O
2 3 1 8
direct
0.940 0.940 0.340
0.059 0.059 0.643
0.711 0.711 0.708
0.609 0.609 0.298
0.388 0.388 0.724
0.285 0.285 0.312
0.880 0.880 0.671
0.762 0.762 0.355
0.654 0.654 0.987
0.560 0.560 0.640
0.451 0.451 0.352
0.352 0.352 0.993
0.233 0.233 0.658
0.115 0.115 0.318
```

VASP energy   -97.86 eV per cell
Excess energy over the best structure of this formula in the dataset   90 meV per atom
SG   Cm
Calculated formation energy   -2.26 eV per atom

The following is a PBE+U calculation of a geometry-optimized Li4V3Fe5O16 structure, from the Materials Project database.

Cell and atoms, written as POSCAR:
```
Li4V3Fe5O16
1.0
3.895 -4.015 1.960
-4.196 -1.598 -3.892
6.019 2.228 -7.174
Li V Fe O
4 3 5 16
direct
0.675 0.336 0.894
0.992 0.993 0.996
0.999 0.003 0.496
0.342 0.663 0.394
0.835 0.173 0.216
0.664 0.844 0.712
0.183 0.346 0.717
0.826 0.659 0.213
0.660 0.334 0.491
0.339 0.164 0.216
0.165 0.828 0.712
0.324 0.669 0.992
0.819 0.678 0.602
0.522 0.476 0.340
0.675 0.316 0.104
0.991 0.006 0.310
0.001 0.009 0.809
0.324 0.165 0.599
0.964 0.463 0.336
0.536 0.035 0.337
0.158 0.836 0.099
0.845 0.173 0.606
0.498 0.962 0.835
0.042 0.523 0.839
0.335 0.662 0.602
0.669 0.847 0.104
0.474 0.512 0.837
0.145 0.325 0.103
```

VASP energy   -186.91 eV per cell
SG   P1
Calculated formation energy   -2.07 eV per atom

The following is a PBE+U calculation of a geometry-optimized LiVFe4O8 structure, from the Materials Project database.

Cell and atoms, written as POSCAR:
```
LiVFe4O8
1.0
-4.262 -0.003 -4.242
4.262 -4.242 -0.003
-4.243 -4.224 -0.022
Li V Fe O
1 1 4 8
direct
0.750 0.375 0.875
0.250 0.375 0.375
0.509 0.754 0.736
0.991 0.996 0.014
0.250 0.875 0.375
0.750 0.375 0.375
0.261 0.129 0.610
0.729 0.127 0.144
0.726 0.604 0.146
0.250 0.128 0.146
0.239 0.621 0.140
0.771 0.623 0.606
0.774 0.146 0.604
0.250 0.622 0.604
```

VASP energy   -94.15 eV per cell
SG   C2/m
Calculated formation energy   -1.85 eV per atom

The following is a PBE+U calculation of a geometry-optimized Li3VFe3O8 structure, from the Materials Project database.

Cell and atoms, written as POSCAR:
```
Li3VFe3O8
1.0
0.759 -3.529 -4.670
2.338 5.419 0.044
8.054 -3.483 3.916
Li V Fe O
6 2 6 16
direct
0.828 0.652 0.057
0.348 0.174 0.058
0.828 0.179 0.057
0.179 0.828 0.557
0.652 0.828 0.557
0.174 0.348 0.558
0.669 0.339 0.510
0.339 0.669 0.010
0.834 0.663 0.786
0.334 0.168 0.789
0.834 0.172 0.787
0.172 0.834 0.287
0.663 0.834 0.286
0.168 0.334 0.289
0.999 0.000 0.678
0.828 0.654 0.409
0.518 0.481 0.653
0.965 0.483 0.653
0.330 0.162 0.409
0.665 0.334 0.904
0.521 0.044 0.651
0.834 0.164 0.408
0.164 0.834 0.908
0.483 0.965 0.153
0.044 0.521 0.151
0.000 0.999 0.178
0.334 0.665 0.404
0.654 0.828 0.909
0.481 0.518 0.153
0.162 0.330 0.909
```

VASP energy   -192.18 eV per cell
Excess energy over the best structure of this formula in the dataset   9 meV per atom
SG   Cc
Calculated formation energy   -2.02 eV per atom

The following is a PBE+U calculation of a geometry-optimized Li2VFeO4 structure, from the Materials Project database.

Cell and atoms, written as POSCAR:
```
Li2VFeO4
1.0
-0.135 2.797 -0.978
1.082 -1.637 -4.828
-4.427 -1.115 -2.578
Li V Fe O
2 1 1 4
direct
0.000 0.000 0.000
0.500 0.000 0.500
0.500 0.500 0.000
0.000 0.500 0.500
0.000 0.274 0.241
0.500 0.269 0.739
0.000 0.726 0.759
0.500 0.731 0.261
```

VASP energy   -52.06 eV per cell
Excess energy over the best structure of this formula in the dataset   2 meV per atom
SG   P2/m
Calculated formation energy   -2.20 eV per atom

The following is a PBE+U calculation of a geometry-optimized Li5V3Fe2O10 structure, from the Materials Project database.

Cell and atoms, written as POSCAR:
```
Li5V3Fe2O10
1.0
5.104 0.129 0.038
-1.104 5.123 -0.130
-1.676 -2.705 7.274
Li V Fe O
5 3 2 10
direct
0.206 0.926 0.414
0.390 0.282 0.776
0.500 0.500 0.500
0.610 0.718 0.224
0.794 0.074 0.586
0.700 0.898 0.894
0.300 0.102 0.106
0.000 0.500 0.000
0.093 0.673 0.673
0.907 0.327 0.327
0.056 0.110 0.866
0.340 0.727 0.955
0.146 0.300 0.550
0.233 0.473 0.229
0.468 0.895 0.675
0.532 0.105 0.325
0.767 0.527 0.771
0.854 0.700 0.450
0.660 0.273 0.045
0.944 0.890 0.134
```

VASP energy   -130.69 eV per cell
Excess energy over the best structure of this formula in the dataset   0 meV per atom
SG   P-1
Calculated formation energy   -2.20 eV per atom

The following is a PBE+U calculation of a geometry-optimized Li2VFe3O8 structure, from the Materials Project database.

Cell and atoms, written as POSCAR:
```
Li2VFe3O8
1.0
1.612 4.021 -3.975
-3.308 -4.558 -1.688
-7.793 4.965 1.863
Li V Fe O
4 2 6 16
direct
0.667 0.333 0.899
0.000 0.000 0.991
0.000 0.000 0.491
0.333 0.667 0.399
0.666 0.334 0.497
0.334 0.666 0.997
0.345 0.170 0.218
0.826 0.174 0.214
0.830 0.655 0.218
0.170 0.345 0.718
0.174 0.826 0.714
0.655 0.830 0.718
0.351 0.167 0.590
0.530 0.041 0.345
0.667 0.333 0.105
0.996 0.004 0.300
0.004 0.996 0.800
0.827 0.173 0.589
0.522 0.478 0.352
0.959 0.470 0.345
0.167 0.351 0.090
0.833 0.649 0.590
0.041 0.530 0.845
0.478 0.522 0.852
0.333 0.667 0.605
0.173 0.827 0.089
0.470 0.959 0.845
0.649 0.833 0.090
```

VASP energy   -182.61 eV per cell
Excess energy over the best structure of this formula in the dataset   33 meV per atom
SG   Cmc2_1
Calculated formation energy   -1.96 eV per atom

The following is a PBE+U calculation of a geometry-optimized Li2VFe3O8 structure, from the Materials Project database.

Cell and atoms, written as POSCAR:
```
Li2VFe3O8
1.0
2.983 -5.167 0.000
2.983 5.167 0.000
0.000 0.000 9.512
Li V Fe O
4 2 6 16
direct
0.333 0.667 0.903
0.000 0.000 0.990
0.000 0.000 0.490
0.667 0.333 0.403
0.333 0.667 0.496
0.667 0.333 0.996
0.173 0.827 0.217
0.173 0.346 0.217
0.654 0.827 0.217
0.346 0.173 0.717
0.827 0.654 0.717
0.827 0.173 0.717
0.175 0.825 0.587
0.045 0.523 0.348
0.333 0.667 0.104
0.000 0.000 0.300
0.000 0.000 0.800
0.175 0.349 0.587
0.477 0.955 0.348
0.477 0.523 0.348
0.349 0.175 0.087
0.651 0.825 0.587
0.523 0.477 0.848
0.523 0.045 0.848
0.667 0.333 0.604
0.825 0.651 0.087
0.955 0.477 0.848
0.825 0.175 0.087
```

VASP energy   -182.97 eV per cell
Excess energy over the best structure of this formula in the dataset   21 meV per atom
SG   P6_3mc
Calculated formation energy   -1.97 eV per atom